! SrEuScO4 (PBE, relaxed); values from VASP
! E_form   -3.344 eV per atom
&SYSTEM
  ibrav = 0, nat = 7, ntyp = 4
/
ATOMIC_SPECIES
O 16.00 O.upf
Sr 87.62 Sr.upf
Sc 44.96 Sc.upf
Eu 151.96 Eu.upf
CELL_PARAMETERS angstrom
-2.8791 -2.8779 0.0000
-2.8791 2.8779 0.0000
-2.8791 0.0000 -6.2266
ATOMIC_POSITIONS angstrom
O -2.8791 0.0000 -2.0997
O -5.7582 0.0000 -4.0161
O -4.3187 -1.4390 -0.0831
O -4.3187 1.4390 -0.0831
Sr -2.8791 0.0000 -4.4478
Sc -5.7582 0.0000 -6.2064
Eu -5.7582 0.0000 -1.7438



! LiAu4Se4Cl4O12 (PBE, relaxed); values from VASP
! E_form   -0.884 eV per atom
! Polymorph energy (0 for the lowest one)   6.9 kJ/mol of formula units
&SYSTEM
  ibrav = 0, nat = 25, ntyp = 5
/
ATOMIC_SPECIES
Li 6.94 Li.upf
O 16.00 O.upf
Cl 35.45 Cl.upf
Se 78.96 Se.upf
Au 196.97 Au.upf
CELL_PARAMETERS angstrom
4.4843 0.0580 0.0272
0.5132 9.9884 1.6325
-0.1504 -0.0239 10.9995
ATOMIC_POSITIONS angstrom
Li 4.4393 3.7332 6.5800
O 0.0760 -0.0014 7.5367
O 1.7297 6.3945 1.7451
O 3.3481 9.4684 2.9142
O 3.1583 3.6065 10.9153
O 0.4821 3.9227 2.1122
O 4.3765 8.2868 11.6501
O 0.3544 1.6742 1.1300
O 0.4979 7.5335 4.0396
O 1.2971 0.5615 9.8001
O 4.4032 6.0774 10.5781
O 4.5409 9.9112 5.1700
O 4.3942 2.5609 8.3627
Cl 1.0551 1.8998 5.1986
Cl 3.5288 8.0870 7.4662
Cl 3.3153 4.9652 4.7451
Cl 1.5622 5.0122 7.8468
Se 1.1371 1.2214 8.2226
Se 3.6746 2.9852 1.4876
Se 1.1382 7.0757 11.2115
Se 3.6059 8.6174 4.4029
Au 4.8107 9.9757 7.1732
Au 4.9077 10.0365 1.7018
Au 0.1248 4.2236 9.5521
Au 0.3051 5.7192 3.0750



! Sr6La2Ta3Al5O24 (PBE, relaxed); values from VASP
! E_form   -3.535 eV per atom
&SYSTEM
  ibrav = 0, nat = 40, ntyp = 5
/
ATOMIC_SPECIES
Al 26.98 Al.upf
O 16.00 O.upf
Ta 180.95 Ta.upf
Sr 87.62 Sr.upf
La 138.91 La.upf
CELL_PARAMETERS angstrom
-17.3404 -2.6138 -5.3492
-18.1181 -2.8027 0.1083
-18.0458 2.0566 -2.5006
ATOMIC_POSITIONS angstrom
Al -20.0050 -1.2562 -2.8945
Al -33.4993 -2.1036 -4.8469
Al -46.8278 -2.9406 -6.7754
Al -6.6765 -0.4193 -0.9660
Al 0.0000 0.0000 0.0000
O -41.1101 -1.7353 -7.3356
O -27.7822 -3.3693 -4.0760
O -20.9718 -0.4944 -4.3830
O -19.0336 -2.0145 -1.4107
O -11.9988 -1.5285 -3.1797
O -12.3574 0.8453 -1.7318
O -12.3941 -1.6246 -0.4058
O -34.8534 -1.4383 -3.6453
O -25.7590 -2.4656 -2.3366
O -25.3628 -2.3694 -5.1163
O -41.5055 -1.8314 -4.5617
O -34.4707 -1.3454 -6.3307
O -18.9980 0.3766 -2.6944
O -27.7453 -0.8943 -5.4048
O -28.1415 -0.9905 -2.6251
O -21.3561 -0.5878 -1.6868
O -41.1469 -4.2052 -6.0096
O -32.1482 -2.7721 -6.0546
O -34.5063 -3.7365 -5.0470
O -21.0075 -2.8951 -3.0941
O -32.4967 -0.4648 -4.6473
O -32.5325 -2.8655 -3.3584
O -18.6509 -1.9216 -4.0961
O -25.7221 0.0094 -3.6654
Ta -13.3905 -0.8409 -1.9374
Ta -40.1138 -2.5190 -5.8040
Ta -26.7521 -1.6799 -3.8707
Sr -50.2844 -3.1577 -7.2755
Sr -43.4729 -2.7300 -6.2900
Sr -23.3961 -1.4692 -3.3851
Sr -3.2198 -0.2022 -0.4659
Sr -30.1082 -1.8907 -4.3563
Sr -10.0314 -0.6299 -1.4514
La -36.6648 -2.3024 -5.3049
La -16.8395 -1.0575 -2.4365



! Li2CuSiO4 (PBE, relaxed); values from VASP
! E_form   -2.328 eV per atom
! Polymorph energy (0 for the lowest one)   11.7 kJ/mol of formula units
&SYSTEM
  ibrav = 0, nat = 32, ntyp = 4
/
ATOMIC_SPECIES
O 16.00 O.upf
Si 28.09 Si.upf
Li 6.94 Li.upf
Cu 63.55 Cu.upf
CELL_PARAMETERS angstrom
4.9673 0.0000 0.0000
0.0000 6.3311 0.0000
0.0000 0.0000 10.8065
ATOMIC_POSITIONS angstrom
O 0.6781 0.7403 8.9880
O 3.9866 2.0891 4.3828
O 0.9807 5.2546 6.4238
O 0.9521 3.9198 8.7670
O 3.1618 3.9059 7.2218
O 1.5316 3.9198 3.3637
O 1.4792 2.5404 1.0108
O 1.8055 0.7403 3.5847
O 4.2892 3.9059 1.8185
O 1.5029 5.2546 1.0205
O 3.9628 5.7060 4.3925
O 4.0153 0.7543 2.0395
O 3.4882 5.7060 9.7958
O 1.0045 2.5404 6.4140
O 3.4357 0.7543 7.4428
O 3.4644 2.0891 9.7860
Si 3.4580 0.7325 3.6021
Si 3.9930 0.7325 9.0053
Si 0.9744 3.8981 1.8012
Si 1.5093 3.8981 7.2045
Li 3.9443 5.5090 6.3781
Li 3.9538 3.9128 9.0196
Li 1.4607 2.3434 9.8316
Li 3.4972 3.9128 3.6163
Li 1.0230 2.3434 4.4284
Li 1.4701 0.7473 7.1902
Li 1.0136 0.7473 1.7869
Li 3.5067 5.5090 0.9749
Cu 3.9019 2.3459 6.3190
Cu 1.4182 5.5114 9.8908
Cu 1.0654 5.5114 4.4875
Cu 3.5491 2.3459 0.9158



! Y4Cu7O16 (PBE, relaxed); values from VASP
! E_form   -2.046 eV per atom
&SYSTEM
  ibrav = 0, nat = 54, ntyp = 3
/
ATOMIC_SPECIES
O 16.00 O.upf
Y 88.91 Y.upf
Cu 63.55 Cu.upf
CELL_PARAMETERS angstrom
6.2258 0.0000 0.0000
-1.3307 10.0365 0.0000
-1.2431 -2.2104 9.9450
ATOMIC_POSITIONS angstrom
O 4.6636 3.7262 6.4666
O -1.7439 6.7634 7.3030
O 2.9591 1.8206 6.4267
O 3.1982 4.9557 8.5289
O 0.8074 4.6852 6.3764
O 1.5136 3.0224 8.4775
O 0.2044 9.6997 0.9780
O 0.6930 6.0055 3.5183
O -0.8220 2.0221 8.4411
O 2.1384 4.8037 1.4676
O 2.8447 3.1409 3.5686
O 0.4827 6.8136 0.2241
O 4.1960 7.2930 3.8830
O 3.1701 1.5220 1.0868
O -0.5439 0.5331 6.0621
O 0.7935 2.3177 4.8253
O 0.4820 6.3041 8.8583
O 0.2327 7.6330 5.9747
O 2.5069 8.6162 6.1810
O 5.3960 1.0627 2.6420
O -0.3891 -0.9433 8.8309
O 4.0411 8.7694 1.1142
O 1.1451 -0.7901 3.7640
O 2.0726 7.8871 2.3822
O 1.5794 -0.0610 7.5629
O 4.4740 5.8040 1.5039
O 3.1694 1.0125 9.7210
O 3.4194 0.1931 3.9704
O 3.4477 -1.8736 8.9670
O 0.4538 2.8704 1.4161
O -1.0116 4.0999 3.4785
O 2.8586 5.5084 5.1197
Y 0.8569 1.0213 9.6109
Y -1.0306 5.7928 5.2344
Y 2.7951 6.8048 0.3342
Y 1.5525 1.1982 2.8278
Y -0.4061 7.6126 2.1876
Y 4.6827 2.0333 4.7107
Y 4.0581 0.2135 7.7575
Y 2.0995 6.6279 7.1173
Cu 0.5386 -1.6258 7.3430
Cu 4.9068 2.2046 1.2066
Cu 1.1686 1.1579 6.2347
Cu 0.0000 0.0000 0.0000
Cu 3.1134 9.4519 2.6020
Cu 0.5225 4.4725 2.4108
Cu 3.6726 4.4825 2.4938
Cu 3.1129 0.0000 0.0000
Cu 2.4834 6.6682 3.7103
Cu -1.2547 5.6215 8.7384
Cu 3.1296 3.3536 7.5342
Cu 1.8260 3.9130 4.9725
Cu 2.4914 -1.1052 4.9725
Cu -0.0206 3.3436 7.4513



! Al2CoNi (PBE, relaxed); values from VASP
! E_form   -0.624 eV per atom
&SYSTEM
  ibrav = 0, nat = 4, ntyp = 3
/
ATOMIC_SPECIES
Al 26.98 Al.upf
Co 58.93 Co.upf
Ni 58.69 Ni.upf
CELL_PARAMETERS angstrom
-0.0061 2.0071 -2.0458
0.9113 -1.9383 -1.9043
-5.4835 -1.3211 -1.2796
ATOMIC_POSITIONS angstrom
Al -1.3517 -0.3257 -0.3154
Al -4.1318 -0.9954 -0.9642
Co 0.4526 0.0344 -1.9750
Ni -2.2891 -0.6261 -2.6148



Repeat the second record exactly.
! LiAu4Se4Cl4O12 (PBE, relaxed); values from VASP
! E_form   -0.884 eV per atom
! Polymorph energy (0 for the lowest one)   6.9 kJ/mol of formula units
&SYSTEM
  ibrav = 0, nat = 25, ntyp = 5
/
ATOMIC_SPECIES
Li 6.94 Li.upf
O 16.00 O.upf
Cl 35.45 Cl.upf
Se 78.96 Se.upf
Au 196.97 Au.upf
CELL_PARAMETERS angstrom
4.4843 0.0580 0.0272
0.5132 9.9884 1.6325
-0.1504 -0.0239 10.9995
ATOMIC_POSITIONS angstrom
Li 4.4393 3.7332 6.5800
O 0.0760 -0.0014 7.5367
O 1.7297 6.3945 1.7451
O 3.3481 9.4684 2.9142
O 3.1583 3.6065 10.9153
O 0.4821 3.9227 2.1122
O 4.3765 8.2868 11.6501
O 0.3544 1.6742 1.1300
O 0.4979 7.5335 4.0396
O 1.2971 0.5615 9.8001
O 4.4032 6.0774 10.5781
O 4.5409 9.9112 5.1700
O 4.3942 2.5609 8.3627
Cl 1.0551 1.8998 5.1986
Cl 3.5288 8.0870 7.4662
Cl 3.3153 4.9652 4.7451
Cl 1.5622 5.0122 7.8468
Se 1.1371 1.2214 8.2226
Se 3.6746 2.9852 1.4876
Se 1.1382 7.0757 11.2115
Se 3.6059 8.6174 4.4029
Au 4.8107 9.9757 7.1732
Au 4.9077 10.0365 1.7018
Au 0.1248 4.2236 9.5521
Au 0.3051 5.7192 3.0750